[1]
MgZn2Bi3O8 | PBE | relaxed

a = 10.9835 Å, b = 6.8625 Å, c = 5.9068 Å
α = 90.00°, β = 113.88°, γ = 90.00°
Last column: nearest neighbours and their distance in Å.
Space group Cm (No. 8)
One atom of each set of equivalent atoms:
Mg  0.0000  0.0000  0.0000 [2 per cell]  3 O 2.03-2.11
Zn  0.1134  0.0000  0.5178 [2 per cell]  4 O 1.91-2.06
Zn  0.4424  0.0000  0.7724 [2 per cell]  4 O 2.01-2.10
Bi  0.1609  0.5000  0.5150 [2 per cell]  4 O 2.23-2.38
Bi  0.2888  0.2396  0.1213 [4 per cell]  5 O 2.23-2.39
O  0.1317  0.2113  0.2994 [4 per cell]  1 Zn 2.00
O  0.1402  0.0000  0.8577 [2 per cell]  1 Zn 1.91, 1 Mg 2.03
O  0.1514  0.5000  0.9102 [2 per cell]  1 Zn 2.10, 2 Bi 2.35
O  0.3774  0.2577  0.8392 [4 per cell]  1 Zn 2.01, 1 Mg 2.11
O  0.4128  0.5000  0.2936 [2 per cell]  1 Zn 2.06, 2 Bi 2.23, 1 Mg 2.30
O  0.4429  0.0000  0.4210 [2 per cell]  1 Zn 2.08, 1 Bi 2.23

Computed properties:
The formation energy comes out at -1.726 eV per atom. For the total energy, the calculation gives -5.289 eV/atom. The offset from the most stable computed form comes out at 73.5 meV per atom.


[2]
PrAlPd2 | PBE | relaxed

a = 7.6054 Å, b = 7.0976 Å, c = 5.9237 Å
α = 90.00°, β = 90.00°, γ = 90.00°
Last column: nearest neighbours and their distance in Å.
Space group Pnma (No. 62)
One atom of each set of equivalent atoms:
Pr  0.0321  0.2500  0.1534 [4 per cell]  8 Pd 3.08-3.36, 3 Al 3.18-3.22
Al  0.1188  0.7500  0.3466 [4 per cell]  6 Pd 2.59-2.67
Pd  0.1764  0.0534  0.5879 [8 per cell]  3 Al 2.59-2.67, 1 Pd 2.79

Computed properties:
The formation energy comes out at -0.868 eV per atom. For the total energy, the calculation gives -5.590 eV/atom.